Below is MgAg2O4 after structural relaxation, with properties calculated at the GGA-PBE level.

abc: 5.578 6.344 12.635
angles: 60.51 90.00 90.00
Fractional coordinates of all 28 atoms:
Mg  0.135  0.000  0.250
Mg  0.865  0.000  0.750
Mg  0.420  0.500  0.750
Mg  0.580  0.500  0.250
Ag  0.465  0.785  0.965
Ag  0.465  0.215  0.535
Ag  0.535  0.215  0.035
Ag  0.535  0.785  0.465
Ag  0.000  0.500  0.000
Ag  0.000  0.500  0.500
Ag  0.000  0.000  0.000
Ag  0.000  0.000  0.500
O  0.105  0.858  0.886
O  0.105  0.142  0.614
O  0.895  0.142  0.114
O  0.895  0.858  0.386
O  0.777  0.659  0.086
O  0.777  0.341  0.414
O  0.223  0.341  0.914
O  0.223  0.659  0.586
O  0.351  0.319  0.184
O  0.351  0.681  0.316
O  0.649  0.185  0.819
O  0.649  0.815  0.681
O  0.649  0.681  0.816
O  0.649  0.319  0.684
O  0.351  0.815  0.181
O  0.351  0.185  0.319

Output
energy above the lowest structure with this stoichiometry = 0.3909 eV/atom
SG = No. 13
E = -4.46 eV/atom
total moment = 0.000 μB/atom
E_form = -4.82 eV/f.u.

Below is MgAg2O4 after structural relaxation, with properties calculated at the GGA-PBE level.

abc: 6.414 6.414 15.462
angles: 90.00 90.00 120.00
Fractional coordinates of all 42 atoms:
Mg  0.333  0.667  0.952
Mg  0.000  0.000  0.625
Mg  0.000  0.000  0.998
Mg  0.667  0.333  0.286
Mg  0.333  0.667  0.711
Mg  0.000  0.000  0.378
Ag  0.836  0.672  0.834
Ag  0.328  0.164  0.834
Ag  0.500  0.001  0.500
Ag  0.836  0.164  0.834
Ag  0.667  0.333  0.667
Ag  0.999  0.500  0.500
Ag  0.165  0.331  0.165
Ag  0.500  0.500  0.500
Ag  0.165  0.835  0.165
Ag  0.333  0.667  0.334
Ag  0.669  0.835  0.165
Ag  0.667  0.333  0.043
O  0.690  0.845  0.919
O  0.000  0.000  0.756
O  0.155  0.845  0.919
O  0.155  0.310  0.919
O  0.506  0.011  0.755
O  0.343  0.172  0.582
O  0.506  0.494  0.755
O  0.667  0.333  0.905
O  0.828  0.172  0.582
O  0.667  0.333  0.417
O  0.989  0.494  0.755
O  0.828  0.657  0.582
O  0.172  0.345  0.418
O  0.019  0.509  0.241
O  0.172  0.828  0.418
O  0.333  0.667  0.580
O  0.333  0.667  0.083
O  0.491  0.509  0.241
O  0.655  0.828  0.418
O  0.491  0.981  0.241
O  0.855  0.709  0.089
O  0.000  0.000  0.250
O  0.855  0.145  0.089
O  0.291  0.145  0.089

Output
energy above the lowest structure with this stoichiometry = 0.1145 eV/atom
SG = No. 156
E = -4.44 eV/atom
total moment = 0.368 μB/atom
E_form = -6.75 eV/f.u.

Below is MgAg2O4 after structural relaxation, with properties calculated at the GGA-PBE level.

abc: 6.434 6.434 15.296
angles: 90.00 90.00 120.00
Fractional coordinates of all 42 atoms:
Mg  0.000  0.000  0.052
Mg  0.667  0.333  0.381
Mg  0.333  0.667  0.334
Mg  0.333  0.667  0.714
Mg  0.667  0.333  0.003
Mg  0.667  0.333  0.620
Ag  0.999  0.499  0.167
Ag  0.501  0.001  0.167
Ag  0.661  0.830  0.499
Ag  0.501  0.499  0.167
Ag  0.170  0.339  0.499
Ag  0.000  0.000  0.665
Ag  0.000  0.000  0.288
Ag  0.337  0.168  0.835
Ag  0.170  0.830  0.499
Ag  0.832  0.663  0.835
Ag  0.832  0.168  0.835
Ag  0.333  0.667  0.952
O  0.362  0.181  0.086
O  0.667  0.333  0.249
O  0.819  0.638  0.086
O  0.819  0.181  0.086
O  0.024  0.512  0.414
O  0.188  0.812  0.242
O  0.333  0.667  0.582
O  0.188  0.377  0.242
O  0.333  0.667  0.089
O  0.488  0.976  0.414
O  0.488  0.512  0.414
O  0.623  0.812  0.242
O  0.685  0.842  0.759
O  0.840  0.160  0.577
O  0.840  0.679  0.577
O  0.000  0.000  0.920
O  0.000  0.000  0.428
O  0.158  0.315  0.759
O  0.158  0.842  0.759
O  0.321  0.160  0.577
O  0.522  0.478  0.912
O  0.522  0.044  0.912
O  0.667  0.333  0.749
O  0.956  0.478  0.912

Output
energy above the lowest structure with this stoichiometry = 0.0883 eV/atom
SG = No. 156
E = -4.46 eV/atom
total moment = 0.221 μB/atom
E_form = -6.94 eV/f.u.

Below is MgAgP3O9 after structural relaxation, with properties calculated at the GGA-PBE level.

abc: 10.185 10.887 14.123
angles: 90.00 90.00 90.00
Fractional coordinates of all 112 atoms:
Mg  0.969  0.500  0.250
Mg  0.469  0.500  0.250
Mg  0.031  0.500  0.750
Mg  0.000  0.000  0.000
Mg  0.000  0.000  0.500
Mg  0.500  0.000  0.000
Mg  0.500  0.000  0.500
Mg  0.531  0.500  0.750
Ag  0.480  0.753  0.876
Ag  0.480  0.247  0.624
Ag  0.020  0.753  0.124
Ag  0.020  0.247  0.376
Ag  0.520  0.247  0.124
Ag  0.520  0.753  0.376
Ag  0.980  0.247  0.876
Ag  0.980  0.753  0.624
P  0.946  0.748  0.874
P  0.446  0.252  0.874
P  0.054  0.748  0.374
P  0.054  0.252  0.126
P  0.554  0.252  0.374
P  0.554  0.748  0.126
P  0.946  0.252  0.626
P  0.446  0.748  0.626
P  0.261  0.954  0.648
P  0.261  0.046  0.852
P  0.239  0.954  0.352
P  0.239  0.046  0.148
P  0.786  0.527  0.899
P  0.739  0.954  0.148
P  0.761  0.046  0.648
P  0.761  0.954  0.852
P  0.786  0.473  0.601
P  0.714  0.527  0.101
P  0.714  0.473  0.399
P  0.214  0.473  0.101
P  0.214  0.527  0.399
P  0.286  0.473  0.899
P  0.286  0.527  0.601
P  0.739  0.046  0.352
O  0.163  0.561  0.652
O  0.163  0.439  0.848
O  0.337  0.561  0.348
O  0.337  0.439  0.152
O  0.837  0.439  0.348
O  0.837  0.561  0.152
O  0.663  0.439  0.652
O  0.663  0.561  0.848
O  0.384  0.555  0.851
O  0.384  0.445  0.649
O  0.116  0.555  0.149
O  0.116  0.445  0.351
O  0.616  0.445  0.149
O  0.616  0.555  0.351
O  0.884  0.445  0.851
O  0.884  0.555  0.649
O  0.519  0.825  0.555
O  0.519  0.175  0.945
O  0.981  0.825  0.445
O  0.981  0.175  0.055
O  0.481  0.175  0.445
O  0.481  0.825  0.055
O  0.019  0.175  0.555
O  0.019  0.825  0.945
O  0.019  0.681  0.798
O  0.019  0.319  0.702
O  0.481  0.681  0.202
O  0.140  0.922  0.593
O  0.481  0.319  0.298
O  0.981  0.681  0.298
O  0.519  0.319  0.798
O  0.519  0.681  0.702
O  0.359  0.959  0.895
O  0.359  0.041  0.605
O  0.141  0.959  0.105
O  0.141  0.041  0.395
O  0.641  0.041  0.105
O  0.641  0.959  0.395
O  0.859  0.041  0.895
O  0.859  0.959  0.605
O  0.710  0.000  0.750
O  0.790  0.000  0.250
O  0.290  0.000  0.250
O  0.210  0.000  0.750
O  0.835  0.829  0.820
O  0.835  0.171  0.680
O  0.665  0.829  0.180
O  0.665  0.171  0.320
O  0.165  0.171  0.180
O  0.165  0.829  0.320
O  0.335  0.171  0.820
O  0.335  0.829  0.680
O  0.860  0.651  0.935
O  0.860  0.349  0.565
O  0.640  0.651  0.065
O  0.640  0.349  0.435
O  0.140  0.349  0.065
O  0.140  0.651  0.435
O  0.360  0.349  0.935
O  0.360  0.651  0.565
O  0.750  0.534  0.500
O  0.750  0.466  0.000
O  0.250  0.466  0.500
O  0.250  0.534  0.000
O  0.640  0.922  0.907
O  0.640  0.078  0.593
O  0.860  0.922  0.093
O  0.860  0.078  0.407
O  0.360  0.078  0.093
O  0.360  0.922  0.407
O  0.140  0.078  0.907
O  0.981  0.319  0.202

Output
SG = No. 54
E = -6.76 eV/atom
total moment = 0.000 μB/atom
E_form = -35.61 eV/f.u.

Below is MgAg3P3O13 after structural relaxation, with properties calculated at the GGA-PBE level.

abc: 6.457 7.963 10.624
angles: 82.07 90.00 90.00
Fractional coordinates of all 40 atoms:
Mg  0.750  0.385  0.159
Mg  0.250  0.615  0.841
Ag  0.250  0.664  0.214
Ag  0.750  0.336  0.786
Ag  0.250  0.258  0.431
Ag  0.500  0.000  0.000
Ag  0.750  0.742  0.569
Ag  0.000  0.000  0.000
P  0.250  0.773  0.503
P  0.750  0.227  0.497
P  0.250  0.263  0.757
P  0.750  0.737  0.243
P  0.750  0.670  0.887
P  0.250  0.330  0.113
O  0.750  0.609  0.751
O  0.569  0.254  0.397
O  0.250  0.195  0.630
O  0.541  0.767  0.891
O  0.750  0.376  0.577
O  0.750  0.110  0.906
O  0.250  0.624  0.423
O  0.041  0.233  0.109
O  0.250  0.940  0.414
O  0.750  0.060  0.586
O  0.072  0.389  0.781
O  0.250  0.890  0.094
O  0.572  0.611  0.219
O  0.750  0.506  0.981
O  0.750  0.805  0.370
O  0.459  0.233  0.109
O  0.931  0.254  0.397
O  0.431  0.746  0.603
O  0.428  0.389  0.781
O  0.250  0.391  0.249
O  0.750  0.894  0.140
O  0.250  0.106  0.860
O  0.928  0.611  0.219
O  0.959  0.767  0.891
O  0.069  0.746  0.603
O  0.250  0.494  0.019

Output
SG = No. 11
E = -5.87 eV/atom
total moment = 0.034 μB/atom
E_form = -35.65 eV/f.u.

Below is MgTiAgP3O12 after structural relaxation, with properties calculated at the GGA-PBE level.

abc: 8.560 8.560 8.560
angles: 61.97 61.97 61.97
Fractional coordinates of all 36 atoms:
Mg  0.996  0.996  0.996
Mg  0.496  0.496  0.496
Ti  0.146  0.146  0.146
Ti  0.646  0.646  0.646
Ag  0.351  0.351  0.351
Ag  0.851  0.851  0.851
P  0.444  0.048  0.757
P  0.757  0.444  0.048
P  0.048  0.757  0.444
P  0.944  0.257  0.548
P  0.257  0.548  0.944
P  0.548  0.944  0.257
O  0.531  0.091  0.321
O  0.091  0.321  0.531
O  0.252  0.050  0.916
O  0.321  0.531  0.091
O  0.591  0.031  0.821
O  0.427  0.241  0.603
O  0.916  0.252  0.050
O  0.603  0.427  0.241
O  0.006  0.192  0.378
O  0.241  0.603  0.427
O  0.927  0.103  0.741
O  0.192  0.378  0.006
O  0.821  0.591  0.031
O  0.050  0.916  0.252
O  0.752  0.416  0.550
O  0.031  0.821  0.591
O  0.416  0.550  0.752
O  0.103  0.741  0.927
O  0.550  0.752  0.416
O  0.378  0.006  0.192
O  0.692  0.506  0.878
O  0.741  0.927  0.103
O  0.878  0.692  0.506
O  0.506  0.878  0.692

Output
SG = No. 161
E = -6.96 eV/atom
total moment = 0.000 μB/atom
E_form = -45.49 eV/f.u.

Below is PrMgAg2O6 after structural relaxation, with properties calculated at the GGA-PBE level.

abc: 5.415 5.790 8.123
angles: 90.00 90.00 90.00
Fractional coordinates of all 20 atoms:
Pr  0.021  0.678  0.000
Pr  0.521  0.322  0.500
Mg  0.466  0.178  0.000
Mg  0.966  0.822  0.500
Ag  0.000  0.245  0.752
Ag  0.000  0.245  0.248
Ag  0.500  0.755  0.252
Ag  0.500  0.755  0.748
O  0.112  0.174  0.500
O  0.220  0.973  0.833
O  0.220  0.973  0.167
O  0.316  0.437  0.177
O  0.316  0.437  0.823
O  0.331  0.701  0.500
O  0.612  0.826  0.000
O  0.720  0.027  0.667
O  0.720  0.027  0.333
O  0.816  0.563  0.677
O  0.816  0.563  0.323
O  0.831  0.299  0.000

Output
SG = No. 31
E = -5.40 eV/atom
total moment = 0.000 μB/atom
E_form = -16.37 eV/f.u.

Below is MgSc2Ag2O6 after structural relaxation, with properties calculated at the GGA-PBE level.

abc: 7.221 7.220 3.075
angles: 90.00 90.00 79.67
Fractional coordinates of all 11 atoms:
Mg  0.698  0.698  0.000
Sc  0.040  0.431  0.000
Sc  0.431  0.040  0.000
Ag  0.485  0.485  0.500
Ag  0.997  0.996  0.500
O  0.183  0.504  0.500
O  0.509  0.815  0.500
O  0.875  0.874  0.000
O  0.136  0.136  0.000
O  0.815  0.509  0.500
O  0.504  0.183  0.500

Output
energy above the lowest structure with this stoichiometry = 0.0504 eV/atom
SG = No. 38
E = -6.37 eV/atom
total moment = 0.002 μB/atom
E_form = -24.55 eV/f.u.

Below is MgSc2Ag2O6 after structural relaxation, with properties calculated at the GGA-PBE level.

abc: 6.895 6.891 3.276
angles: 90.01 90.01 78.29
Fractional coordinates of all 11 atoms:
Mg  0.763  0.763  0.500
Sc  0.036  0.448  0.000
Sc  0.448  0.036  0.000
Ag  0.496  0.495  0.500
Ag  0.015  0.014  0.500
O  0.184  0.526  0.500
O  0.475  0.821  0.500
O  0.859  0.858  0.000
O  0.153  0.153  0.000
O  0.821  0.475  0.500
O  0.527  0.184  0.500

Output
energy above the lowest structure with this stoichiometry = 0.0000 eV/atom
SG = No. 38
E = -6.42 eV/atom
total moment = 0.002 μB/atom
E_form = -25.10 eV/f.u.

Below is MgSc2Ag2O6 after structural relaxation, with properties calculated at the GGA-PBE level.

abc: 6.701 6.702 3.216
angles: 90.00 90.00 73.97
Fractional coordinates of all 11 atoms:
Mg  0.193  0.807  0.000
Sc  0.017  0.449  0.000
Sc  0.552  0.984  0.000
Ag  0.511  0.490  0.500
Ag  0.928  0.073  0.500
O  0.187  0.567  0.500
O  0.434  0.814  0.500
O  0.872  0.830  0.000
O  0.171  0.129  0.000
O  0.829  0.447  0.500
O  0.553  0.172  0.500

Output
energy above the lowest structure with this stoichiometry = 0.0220 eV/atom
SG = No. 38
E = -6.40 eV/atom
total moment = 0.001 μB/atom
E_form = -24.86 eV/f.u.